The following is a PBE-GGA calculation of a relaxed MgCu2WS4 crystal, from the Materials Project database.

Unit cell a=5.3975 b=5.4032 c=6.4080 alpha=74.90 beta=74.98 gamma=88.44
Closest atoms and distances in Å follow each position.
Space group P1 (No. 1)
One atom of each set of equivalent atoms:
1 Mg 0.0000 0.0000 0.0000 (multiplicity 1)  4 S 2.56-2.69
2 Cu 0.1565 0.6632 0.4331 (multiplicity 1)  4 S 2.36-2.43
3 Cu 0.6632 0.1566 0.4353 (multiplicity 1)  4 S 2.36-2.43
4 W 0.1795 0.1785 0.3841 (multiplicity 1)  4 S 2.26-2.35
5 S 0.3059 0.3061 0.6626 (multiplicity 1)  1 W 2.33, 2 Cu 2.36, 1 Mg 2.56
6 S 0.4951 0.9754 0.1957 (multiplicity 1)  1 W 2.26, 2 Cu 2.39-2.43
7 S 0.8855 0.8845 0.6710 (multiplicity 1)  1 W 2.35, 2 Cu 2.36-2.37, 1 Mg 2.57
8 S 0.9759 0.4937 0.1950 (multiplicity 1)  1 W 2.26, 2 Cu 2.38-2.43

- distance to the lowest polymorph of the same formula (meV/atom) = 0.0
- M_tot (μB per cell) = 0.00

The following is a PBE-GGA calculation of a relaxed RuOF4 crystal, from the Materials Project database.

Unit cell a=5.6218 b=9.5054 c=12.8331 alpha=90.00 beta=90.00 gamma=90.00
Closest atoms and distances in Å follow each position.
Space group P2_12_12_1 (No. 19)
One atom of each set of equivalent atoms:
1 Ru 0.1059 0.2329 0.2945 (multiplicity 4)  1 O 1.66
2 Ru 0.1483 0.4821 0.9863 (multiplicity 4)  1 O 1.66
3 O 0.0944 0.5794 0.5301 (multiplicity 4)  1 Ru 1.66
4 O 0.1449 0.8170 0.2341 (multiplicity 4)  1 Ru 1.66
5 F 0.0702 0.8522 0.4597 (multiplicity 4)  1 Ru 1.87
6 F 0.0883 0.1080 0.5559 (multiplicity 4)  1 Ru 1.87
7 F 0.1180 0.5907 0.1269 (multiplicity 4)  2 Ru 2.09-2.10
8 F 0.1187 0.1043 0.1832 (multiplicity 4)  1 Ru 1.88
9 F 0.1298 0.3896 0.8576 (multiplicity 4)  1 Ru 1.87
10 F 0.1369 0.3548 0.4255 (multiplicity 4)  2 Ru 2.05-2.11
11 F 0.1620 0.8735 0.8632 (multiplicity 4)  1 Ru 1.87
12 F 0.1671 0.6565 0.7267 (multiplicity 4)  1 Ru 1.87

- distance to the lowest polymorph of the same formula (meV/atom) = 5.5
- M_tot (μB per cell) = 0.00

The following is a PBE-GGA calculation of a relaxed Cs2Th2P2Se13 crystal, from the Materials Project database.

Unit cell a=12.2419 b=14.8296 c=27.5672 alpha=90.00 beta=90.00 gamma=90.00
Closest atoms and distances in Å follow each position.
Space group Pbca (No. 61)
One atom of each set of equivalent atoms:
1 Cs 0.1986 0.2102 0.1877 (multiplicity 8)  7 Se 3.82-4.04
2 Cs 0.2120 0.5226 0.5579 (multiplicity 8)  6 Se 3.66-3.99
3 Th 0.2138 0.5193 0.8292 (multiplicity 8)  9 Se 2.98-3.15
4 Th 0.2154 0.7482 0.9197 (multiplicity 8)  9 Se 2.96-3.14
5 P 0.0443 0.0185 0.7425 (multiplicity 8)  4 Se 2.22-2.27
6 P 0.0502 0.2406 0.0112 (multiplicity 8)  4 Se 2.22-2.28
7 Se 0.0302 0.6363 0.8738 (multiplicity 8)  2 Se 2.64-2.65
8 Se 0.0345 0.1010 0.2912 (multiplicity 8)  1 P 2.22
9 Se 0.0337 0.6277 0.4513 (multiplicity 8)  1 P 2.22
10 Se 0.0382 0.2302 0.9302 (multiplicity 8)  1 P 2.24
11 Se 0.0384 0.6293 0.9693 (multiplicity 8)  1 P 2.28
12 Se 0.0386 0.0173 0.8238 (multiplicity 8)  1 P 2.24
13 Se 0.0496 0.6448 0.7780 (multiplicity 8)  1 P 2.27
14 Se 0.1655 0.0677 0.4262 (multiplicity 8)  1 Se 2.44
15 Se 0.1755 0.6672 0.3213 (multiplicity 8)  1 Se 2.45
16 Se 0.1855 0.2143 0.8236 (multiplicity 8)  1 Se 2.45
17 Se 0.1953 0.0504 0.9280 (multiplicity 8)  1 Se 2.44
18 Se 0.2185 0.0308 0.7207 (multiplicity 8)  1 P 2.22
19 Se 0.2268 0.2412 0.0303 (multiplicity 8)  1 P 2.23

- M_tot (μB per cell) = 0.00
- DFT total energy (eV per atom) = -4.74

The following is a PBE-GGA calculation of a relaxed MnSe crystal, from the Materials Project database.

Unit cell a=4.2046 b=4.2046 c=6.8392 alpha=90.00 beta=90.00 gamma=120.00
Closest atoms and distances in Å follow each position.
Space group P6_3mc (No. 186)
One atom of each set of equivalent atoms:
1 Mn 0.3333 0.6667 0.0000 (multiplicity 2)  4 Se 2.57
2 Se 0.3333 0.6667 0.6238 (multiplicity 2)  4 Mn 2.57

- DFT total energy (eV per atom) = -6.69

The following is a PBE-GGA calculation of a relaxed Na4P6PbO18 crystal, from the Materials Project database.

Unit cell a=7.3903 b=7.9461 c=7.9563 alpha=117.71 beta=95.45 gamma=101.61
Closest atoms and distances in Å follow each position.
Space group P1 (No. 1)
One atom of each set of equivalent atoms:
1 Na 0.0000 0.0000 0.0000 (multiplicity 1)  5 O 2.38-2.53
2 Na 0.0612 0.5747 0.5839 (multiplicity 1)  4 O 2.34-2.57
3 Na 0.3541 0.0391 0.6864 (multiplicity 1)  6 O 2.41-2.57
4 Na 0.6852 0.5299 0.8381 (multiplicity 1)  5 O 2.39-2.55
5 P 0.4123 0.2268 0.3675 (multiplicity 1)  4 O 1.49-1.63
6 P 0.4154 0.8742 0.0096 (multiplicity 1)  4 O 1.50-1.63
7 P 0.6715 0.2612 0.1249 (multiplicity 1)  4 O 1.49-1.65
8 P 0.6883 0.8008 0.5671 (multiplicity 1)  4 O 1.50-1.65
9 P 0.9497 0.1824 0.6771 (multiplicity 1)  4 O 1.49-1.63
10 P 0.9546 0.8227 0.3247 (multiplicity 1)  4 O 1.49-1.63
11 Pb 0.2705 0.5041 0.1476 (multiplicity 1)  5 O 2.46-2.74
12 O 0.1004 0.1827 0.8203 (multiplicity 1)  1 P 1.51
13 O 0.1094 0.7667 0.4086 (multiplicity 1)  1 P 1.51
14 O 0.2550 0.2788 0.2811 (multiplicity 1)  1 P 1.52
15 O 0.2588 0.8701 0.8713 (multiplicity 1)  1 P 1.50
16 O 0.3863 0.9905 0.2319 (multiplicity 1)  2 P 1.63
17 O 0.4378 0.2727 0.5734 (multiplicity 1)  1 P 1.49
18 O 0.4493 0.6837 0.9798 (multiplicity 1)  1 P 1.50
19 O 0.4759 0.7333 0.5171 (multiplicity 1)  1 P 1.50
20 O 0.5451 0.3180 0.0113 (multiplicity 1)  1 P 1.51
21 O 0.6144 0.0184 0.0236 (multiplicity 1)  2 P 1.63-1.65
22 O 0.6136 0.3208 0.3341 (multiplicity 1)  2 P 1.63
23 O 0.7468 0.0427 0.6621 (multiplicity 1)  2 P 1.63-1.65
24 O 0.7538 0.7335 0.3613 (multiplicity 1)  2 P 1.62-1.63
25 O 0.8009 0.7469 0.6921 (multiplicity 1)  1 P 1.50
26 O 0.8821 0.3273 0.1599 (multiplicity 1)  1 P 1.49
27 O 0.9252 0.3754 0.7072 (multiplicity 1)  1 P 1.49
28 O 0.9269 0.7746 0.1180 (multiplicity 1)  1 P 1.49
29 O 0.9836 0.0601 0.4588 (multiplicity 1)  2 P 1.62-1.63

- distance to the lowest polymorph of the same formula (meV/atom) = 0.0
- M_tot (μB per cell) = 0.00

The following is a PBE-GGA calculation of a relaxed UZn20Fe2 crystal, from the Materials Project database.

Unit cell a=14.0801 b=14.0801 c=14.0801 alpha=90.00 beta=90.00 gamma=90.00
Closest atoms and distances in Å follow each position.
Space group Fd-3m (No. 227, origin choice 2)
One atom of each set of equivalent atoms:
1 U 0.1250 0.1250 0.1250 (multiplicity 8)  16 Zn 3.05-3.12
2 Zn 0.0000 0.0000 0.0000 (multiplicity 16)  12 Zn 3.01, 2 U 3.05
3 Zn 0.0106 0.3750 0.8750 (multiplicity 48)  2 Fe 2.49, 10 Zn 2.65-2.77
4 Zn 0.0590 0.0590 0.3259 (multiplicity 96)  8 Zn 2.63-2.83, 1 Fe 2.72
5 Fe 0.0000 0.0000 0.5000 (multiplicity 16)  12 Zn 2.49-2.72

- M_tot (μB per cell) = 0.20
- DFT total energy (eV per atom) = -2.37

The following is a PBE-GGA calculation of a relaxed GdNi12B6 crystal, from the Materials Project database.

Unit cell a=9.5185 b=9.5185 c=7.3910 alpha=90.00 beta=90.00 gamma=120.00
Closest atoms and distances in Å follow each position.
Space group R-3m (No. 166, hexagonal axes)
One atom of each set of equivalent atoms:
1 Gd 0.0000 0.0000 0.0000 (multiplicity 3)  18 Ni 3.06-3.26, 6 B 3.13
2 Ni 0.0000 0.3688 0.5000 (multiplicity 18)  4 B 2.03-2.08
3 Ni 0.0884 0.1769 0.3647 (multiplicity 18)  3 B 2.08-2.11
4 B 0.0447 0.5223 0.2884 (multiplicity 18)  7 Ni 2.03-2.11

- distance to the lowest polymorph of the same formula (meV/atom) = 2.1
- M_tot (μB per cell) = 21.37

The following is a PBE-GGA calculation of a relaxed Ba6Mg7H26 crystal, from the Materials Project database.

Unit cell a=5.8134 b=11.9786 c=14.9912 alpha=90.00 beta=90.00 gamma=90.00
Closest atoms and distances in Å follow each position.
Space group Immm (No. 71)
One atom of each set of equivalent atoms:
1 Ba 0.0000 0.0000 0.1442 (multiplicity 4)  12 H 2.64-2.94
2 Ba 0.0000 0.2412 0.3527 (multiplicity 8)  8 H 2.64-2.95
3 Mg 0.0000 0.2420 0.0000 (multiplicity 4)  6 H 1.92-2.11
4 Mg 0.0000 0.5000 0.2183 (multiplicity 4)  5 H 1.95-1.97
5 Mg 0.0000 0.5000 0.5000 (multiplicity 2)  6 H 1.94-2.00
6 Mg 0.2451 0.0000 0.5000 (multiplicity 4)  6 H 1.95-1.97
7 H 0.0000 0.0000 0.4101 (multiplicity 4)  2 Mg 1.96
8 H 0.0000 0.2248 0.1277 (multiplicity 8)  1 Mg 1.93
9 H 0.0000 0.5000 0.0866 (multiplicity 4)  3 Mg 1.97
10 H 0.0000 0.5000 0.3704 (multiplicity 4)  1 Mg 1.94
11 H 0.2316 0.3877 0.2453 (multiplicity 16)  1 Mg 1.95
12 H 0.2345 0.1624 0.5000 (multiplicity 8)  2 Mg 1.92-1.95
13 H 0.2492 0.1145 0.0000 (multiplicity 8)  2 Mg 2.00-2.11

- DFT total energy (eV per atom) = -3.22

The following is a PBE-GGA calculation of a relaxed CsSO3F crystal, from the Materials Project database.

Unit cell a=7.9082 b=8.2836 c=8.2128 alpha=90.00 beta=114.16 gamma=90.00
Closest atoms and distances in Å follow each position.
Space group P2_1/c (No. 14)
One atom of each set of equivalent atoms:
1 Cs 0.2236 0.1209 0.2183 (multiplicity 4)  8 O 3.22-3.42, 1 F 3.27
2 S 0.2422 0.6169 0.2135 (multiplicity 4)  3 O 1.45-1.46
3 O 0.1061 0.7443 0.1390 (multiplicity 4)  1 S 1.45
4 O 0.1940 0.0026 0.8177 (multiplicity 4)  1 S 1.46
5 O 0.3262 0.5534 0.0993 (multiplicity 4)  1 S 1.45
6 F 0.4185 0.7143 0.3656 (multiplicity 4)  1 S 1.65

- M_tot (μB per cell) = 0.00
- DFT total energy (eV per atom) = -5.47